[1]
DFT (PBE with a Hubbard U) results for a geometry-optimized NdCuW2O8 structure.

Cell: 5.1492 6.0995 6.3234 Å, 108.43 92.55 112.16°
Element x y z (fractional)
Nd (0.3672, 0.9003, 0.2727)
Cu (0.8618, 0.8934, 0.7664)
W (0.6232, 0.3853, 0.9357)
W (0.1227, 0.4136, 0.6152)
O (0.3556, 0.2174, 0.6102)
O (0.8709, 0.6280, 0.1916)
O (0.8708, 0.1635, 0.3646)
O (0.3964, 0.5869, 0.9393)
O (0.3412, 0.6427, 0.4995)
O (0.8463, 0.2009, 0.8027)
O (0.3973, 0.1522, 0.0440)
O (0.9027, 0.6004, 0.7518)

[2]
DFT (PBE with a Hubbard U) results for a geometry-optimized Li3Co4SnO8 structure.

Cell: 6.0788 8.4912 6.1002 Å, 90.46 89.96 90.00°
Element x y z (fractional)
Li (0.5000, 0.5000, 0.0000)
Li (0.0000, 0.0000, 0.4999)
Li (0.2522, 0.2513, 0.2521)
Li (0.7479, 0.7487, 0.7479)
Li (0.2521, 0.7487, 0.7479)
Li (0.7477, 0.2513, 0.2521)
Co (0.5000, 0.5000, 0.5000)
Co (0.0000, 0.5002, 0.0000)
Co (0.5000, 0.0000, 0.4999)
Co (0.0000, 0.0001, 0.9999)
Co (0.2504, 0.2483, 0.7492)
Co (0.7497, 0.7517, 0.2508)
Co (0.7498, 0.2483, 0.7492)
Co (0.2502, 0.7516, 0.2509)
Sn (0.0000, 0.4999, 0.4999)
Sn (0.4999, 0.0000, 0.0000)
O (0.4997, 0.7559, 0.0181)
O (0.9999, 0.2543, 0.5191)
O (0.0003, 0.7457, 0.4811)
O (0.5002, 0.2439, 0.9818)
O (0.5003, 0.2541, 0.5171)
O (0.0003, 0.7679, 0.0137)
O (0.9999, 0.2321, 0.9865)
O (0.4996, 0.7460, 0.4827)
O (0.7469, 0.9945, 0.7597)
O (0.2400, 0.4970, 0.2539)
O (0.2537, 0.9947, 0.7596)
O (0.7601, 0.4970, 0.2541)
O (0.2399, 0.5029, 0.7460)
O (0.7464, 0.0054, 0.2403)
O (0.7599, 0.5031, 0.7462)
O (0.2532, 0.0054, 0.2402)

Computed properties:
- Energy above the lowest structure with this stoichiometry: 15.4 meV per atom

[3]
DFT (PBE with a Hubbard U) results for a geometry-optimized MgV3CoSn2P6O24 structure.

Cell: 9.2302 8.6333 8.5878 Å, 59.28 62.16 61.84°
Element x y z (fractional)
Mg (0.6632, 0.7594, 0.1663)
V (0.0566, 0.6446, 0.6322)
V (0.4613, 0.8583, 0.8370)
V (0.9484, 0.3526, 0.3549)
Co (0.5550, 0.1642, 0.1516)
Sn (0.0550, 0.9726, 0.9883)
Sn (0.4781, 0.4114, 0.6222)
P (0.2476, 0.2519, 0.5384)
P (0.2557, 0.9535, 0.2521)
P (0.2451, 0.5430, 0.9579)
P (0.7578, 0.4743, 0.0266)
P (0.7575, 0.0293, 0.7400)
P (0.7560, 0.7527, 0.4546)
O (0.1078, 0.1266, 0.2778)
O (0.0836, 0.5168, 0.1260)
O (0.0766, 0.2962, 0.5163)
O (0.2720, 0.0554, 0.7109)
O (0.4034, 0.2533, 0.3660)
O (0.2289, 0.3981, 0.6113)
O (0.2765, 0.9454, 0.0620)
O (0.2145, 0.7682, 0.4137)
O (0.6177, 0.6761, 0.0060)
O (0.2085, 0.6102, 0.7693)
O (0.7104, 0.3311, 0.0246)
O (0.5757, 0.0593, 0.7370)
O (0.4319, 0.9438, 0.2403)
O (0.2845, 0.7046, 0.9517)
O (0.7867, 0.4267, 0.2122)
O (0.4076, 0.3655, 0.9542)
O (0.7863, 0.2241, 0.6068)
O (0.7464, 0.9782, 0.9455)
O (0.7557, 0.6082, 0.3943)
O (0.6085, 0.7546, 0.6402)
O (0.7301, 0.9435, 0.2887)
O (0.9360, 0.6843, 0.4761)
O (0.9265, 0.5032, 0.8596)
O (0.9010, 0.8773, 0.6657)

Computed properties:
- Energy above the lowest structure with this stoichiometry: 20.2 meV per atom

[4]
DFT (PBE with a Hubbard U) results for a geometry-optimized MgCoHO2 structure.

Cell: 5.2450 5.8692 5.2450 Å, 32.25 42.36 32.25°
Element x y z (fractional)
Mg (0.0000, 0.5000, 0.0000)
Co (0.0000, 0.0000, 0.0000)
H (0.5000, 0.5000, 0.5000)
O (0.5092, 0.2796, 0.5092)
O (0.4908, 0.7204, 0.4908)

Computed properties:
- Energy above the lowest structure with this stoichiometry: 199.9 meV per atom

[5]
DFT (PBE with a Hubbard U) results for a geometry-optimized TiMnH12O6F6 structure.

Cell: 6.6017 6.6006 6.6017 Å, 97.57 97.57 97.57°
Element x y z (fractional)
Ti (0.5000, 0.5000, 0.5000)
Mn (0.0000, 0.9999, 0.9995)
H (0.6902, 0.6624, 0.9770)
H (0.3100, 0.3378, 0.0230)
H (0.7856, 0.2364, 0.2629)
H (0.7636, 0.7371, 0.2143)
H (0.2630, 0.7857, 0.2365)
H (0.0229, 0.3099, 0.3378)
H (0.3378, 0.0229, 0.3100)
H (0.6622, 0.9770, 0.6903)
H (0.9770, 0.6902, 0.6624)
H (0.7371, 0.2143, 0.7638)
H (0.2364, 0.2629, 0.7857)
H (0.2143, 0.7637, 0.7371)
O (0.7464, 0.7857, 0.0794)
O (0.9207, 0.2536, 0.2144)
O (0.2145, 0.9206, 0.2537)
O (0.7856, 0.0794, 0.7466)
O (0.0793, 0.7465, 0.7856)
O (0.2536, 0.2145, 0.9207)
F (0.3740, 0.5482, 0.2391)
F (0.5482, 0.2388, 0.3736)
F (0.7609, 0.6260, 0.4518)
F (0.2390, 0.3739, 0.5482)
F (0.4518, 0.7609, 0.6259)
F (0.6260, 0.4518, 0.7609)

Computed properties:
- Energy above the lowest structure with this stoichiometry: 7.8 meV per atom

[6]
DFT (PBE with a Hubbard U) results for a geometry-optimized P4WO13 structure.

Cell: 5.2128 7.9931 13.9549 Å, 78.48 86.59 81.32°
Element x y z (fractional)
P (0.1191, 0.7950, 0.1274)
P (0.3383, 0.5749, 0.3153)
P (0.3038, 0.6476, 0.8031)
P (0.6797, 0.3491, 0.2032)
P (0.6388, 0.4301, 0.6777)
P (0.9902, 0.1035, 0.3517)
P (0.8725, 0.2080, 0.8631)
P (0.9955, 0.8801, 0.6512)
W (0.4336, 0.0488, 0.7541)
W (0.5551, 0.9475, 0.2409)
O (0.1706, 0.0197, 0.6699)
O (0.2706, 0.0134, 0.3301)
O (0.1607, 0.1245, 0.8430)
O (0.1532, 0.7575, 0.0294)
O (0.0322, 0.7394, 0.7544)
O (0.1676, 0.6338, 0.2179)
O (0.0640, 0.8079, 0.5638)
O (0.1913, 0.5591, 0.4076)
O (0.3030, 0.9241, 0.1508)
O (0.2851, 0.5063, 0.8853)
O (0.5533, 0.1906, 0.1840)
O (0.5044, 0.3979, 0.2968)
O (0.4505, 0.2862, 0.6919)
O (0.4687, 0.5962, 0.7084)
O (0.5429, 0.7084, 0.2989)
O (0.4308, 0.8092, 0.8180)
O (0.7057, 0.4926, 0.1228)
O (0.6988, 0.0735, 0.8386)
O (0.7655, 0.4680, 0.5821)
O (0.9474, 0.2558, 0.2537)
O (0.8182, 0.2521, 0.9590)
O (0.9403, 0.1642, 0.4436)
O (0.8322, 0.3624, 0.7682)
O (0.7086, 0.9682, 0.6646)
O (0.8382, 0.8835, 0.1539)
O (0.8052, 0.9725, 0.3314)

Computed properties:
- Energy above the lowest structure with this stoichiometry: 4.8 meV per atom

[7]
DFT (PBE with a Hubbard U) results for a geometry-optimized KCr2FeHO8 structure.

Cell: 5.5400 7.8538 9.4863 Å, 101.28 90.00 90.00°
Element x y z (fractional)
K (0.7500, 0.4264, 0.2837)
K (0.2500, 0.5736, 0.7163)
Cr (0.7500, 0.8433, 0.6262)
Cr (0.2500, 0.1567, 0.3738)
Cr (0.7500, 0.3401, 0.8555)
Cr (0.2500, 0.6599, 0.1445)
Fe (0.7500, 0.9134, 0.2703)
Fe (0.2500, 0.0866, 0.7297)
H (0.7500, 0.8952, 0.0929)
H (0.2500, 0.1048, 0.9071)
O (0.7500, 0.6346, 0.5690)
O (0.2500, 0.3654, 0.4310)
O (0.0029, 0.8996, 0.7256)
O (0.9971, 0.1004, 0.2744)
O (0.5029, 0.1004, 0.2744)
O (0.4971, 0.8996, 0.7256)
O (0.7500, 0.5503, 0.8805)
O (0.2500, 0.4497, 0.1195)
O (0.7500, 0.9415, 0.4861)
O (0.2500, 0.0585, 0.5139)
O (0.0061, 0.2655, 0.7590)
O (0.9939, 0.7345, 0.2410)
O (0.5061, 0.7345, 0.2410)
O (0.4939, 0.2655, 0.7590)
O (0.7500, 0.2761, 0.0063)
O (0.2500, 0.7239, 0.9937)

[8]
DFT (PBE with a Hubbard U) results for a geometry-optimized Li7Mn11Si6O32 structure.

Cell: 8.2558 8.2627 8.3060 Å, 91.30 90.71 90.00°
Element x y z (fractional)
Li (0.3758, 0.1299, 0.8810)
Li (0.7488, 0.2532, 0.7561)
Li (0.2441, 0.2486, 0.2469)
Li (0.8762, 0.3759, 0.1252)
Li (0.6274, 0.6191, 0.6221)
Li (0.7572, 0.7435, 0.2543)
Li (0.1206, 0.8768, 0.3678)
Mn (0.4920, 0.0011, 0.5032)
Mn (0.3712, 0.3726, 0.6197)
Mn (0.9953, 0.5033, 0.4838)
Mn (0.5100, 0.4850, 0.9974)
Mn (0.8831, 0.6253, 0.8764)
Mn (0.3845, 0.6106, 0.3651)
Mn (0.2510, 0.7587, 0.7439)
Mn (0.8719, 0.8872, 0.6249)
Mn (0.6321, 0.8823, 0.8866)
Mn (0.3789, 0.8730, 0.1258)
Mn (0.0070, 0.0155, 0.0119)
Si (0.1130, 0.1356, 0.6193)
Si (0.8720, 0.1274, 0.3820)
Si (0.6227, 0.1212, 0.1349)
Si (0.1231, 0.3752, 0.8750)
Si (0.6212, 0.3688, 0.3806)
Si (0.1303, 0.6169, 0.1181)
O (0.4056, 0.1023, 0.1394)
O (0.8873, 0.1261, 0.6102)
O (0.6372, 0.1157, 0.9232)
O (0.0843, 0.1442, 0.4018)
O (0.8481, 0.1200, 0.1689)
O (0.3256, 0.1394, 0.6197)
O (0.6391, 0.1369, 0.3631)
O (0.1122, 0.1625, 0.8455)
O (0.6196, 0.3341, 0.1586)
O (0.1272, 0.3607, 0.6426)
O (0.8349, 0.3425, 0.3866)
O (0.3414, 0.3738, 0.8501)
O (0.6000, 0.3584, 0.5973)
O (0.1364, 0.3968, 0.0850)
O (0.3982, 0.3713, 0.3827)
O (0.9074, 0.3987, 0.8665)
O (0.6224, 0.5776, 0.3667)
O (0.1210, 0.6050, 0.8862)
O (0.3749, 0.5987, 0.6143)
O (0.9182, 0.6283, 0.1063)
O (0.1401, 0.6135, 0.3269)
O (0.6519, 0.6436, 0.8798)
O (0.3489, 0.6351, 0.1085)
O (0.8815, 0.6565, 0.6384)
O (0.3757, 0.8460, 0.3545)
O (0.8696, 0.8678, 0.8648)
O (0.1481, 0.8438, 0.1162)
O (0.6412, 0.8816, 0.6537)
O (0.4015, 0.8835, 0.8926)
O (0.8652, 0.9120, 0.3989)
O (0.6204, 0.8966, 0.1235)
O (0.1057, 0.9208, 0.6257)

| no. | energy relative to the elements (eV/atom) | MP2020-corrected energy (eV/cell) |
| --- | --- | --- |
| 1 | -2.3593 | -102.68 |
| 2 | -1.6902 | -209.59 |
| 3 | -2.5152 | -288.27 |
| 4 | -1.2659 | -28.33 |
| 5 | -1.9474 | -149.58 |
| 6 | -2.3688 | -283.15 |
| 7 | -1.4845 | -182.32 |
| 8 | -2.4258 | -440.88 |